i.
Hg: optimized geometry, r2SCAN. Values from VASP.

mass density = 12.0 g/cm³
total magnetic moment = 0.000 Bohr magnetons per cell
space-group type = R-3m, No. 166

Geometry as Quantum ESPRESSO input:
```
&SYSTEM
  ibrav = 0, nat = 1, ntyp = 1
/
ATOMIC_SPECIES
Hg 200.59 Hg.upf
CELL_PARAMETERS angstrom
2.174 1.255 1.694
-2.174 1.255 1.694
0.000 -2.510 1.694
ATOMIC_POSITIONS angstrom
Hg 0.000 0.000 0.000
```


ii.
Hg: optimized geometry, r2SCAN. Values from VASP.

mass density = 12.6 g/cm³
total magnetic moment = 0.000 Bohr magnetons per cell
space-group type = R-3m, No. 166

Geometry as Quantum ESPRESSO input:
```
&SYSTEM
  ibrav = 0, nat = 1, ntyp = 1
/
ATOMIC_SPECIES
Hg 200.59 Hg.upf
CELL_PARAMETERS angstrom
1.836 1.060 2.262
-1.836 1.060 2.262
0.000 -2.120 2.262
ATOMIC_POSITIONS angstrom
Hg 0.000 0.000 0.000
```


Result of the stability comparison: i is the most stable of them.


i.
H: optimized geometry, r2SCAN. Values from VASP.

mass density = 0.1 g/cm³
total magnetic moment = 0.000 Bohr magnetons per cell
space-group type = Cmcm, No. 63

Geometry as Quantum ESPRESSO input:
```
&SYSTEM
  ibrav = 0, nat = 4, ntyp = 1
/
ATOMIC_SPECIES
H 1.01 H.upf
CELL_PARAMETERS angstrom
1.649 -2.732 0.000
1.649 2.732 0.000
0.000 0.000 6.314
ATOMIC_POSITIONS angstrom
H 1.649 2.361 6.311
H 1.649 2.361 3.160
H 1.649 -2.361 0.003
H 1.649 -2.361 3.154
```


ii.
H: optimized geometry, r2SCAN. Values from VASP.

mass density = 0.1 g/cm³
total magnetic moment = 0.000 Bohr magnetons per cell
space-group type = I4/mmm, No. 139

Geometry as Quantum ESPRESSO input:
```
&SYSTEM
  ibrav = 0, nat = 2, ntyp = 1
/
ATOMIC_SPECIES
H 1.01 H.upf
CELL_PARAMETERS angstrom
-2.194 2.194 1.824
2.194 -2.194 1.824
2.194 2.194 -1.824
ATOMIC_POSITIONS angstrom
H 0.000 0.000 0.371
H 0.000 0.000 3.277
```


Result of the stability comparison: ii is the most stable of them.


i.
LiGdO2: optimized geometry, r2SCAN. Values from VASP.

mass density = 6.0 g/cm³
total magnetic moment = 28.000 Bohr magnetons per cell
space-group type = P2_1/c, No. 14

Geometry as Quantum ESPRESSO input:
```
&SYSTEM
  ibrav = 0, nat = 16, ntyp = 3
/
ATOMIC_SPECIES
Li 6.94 Li.upf
Gd 157.25 Gd.upf
O 16.00 O.upf
CELL_PARAMETERS angstrom
6.350 0.000 0.000
0.000 6.103 0.000
-3.277 0.000 5.606
ATOMIC_POSITIONS angstrom
Li -0.125 0.988 2.321
Li -1.764 2.063 5.124
Li 4.837 4.040 0.482
Li 3.199 5.115 3.285
Gd -0.008 3.868 2.978
Gd 1.630 5.287 0.175
Gd 1.443 0.816 5.431
Gd 3.082 2.235 2.628
O -2.092 3.693 4.132
O -0.454 5.462 1.328
O 2.599 1.139 0.730
O 0.961 1.913 3.533
O 2.113 4.190 2.073
O 0.475 4.965 4.876
O 3.528 0.641 4.278
O 5.166 2.410 1.475
```


ii.
LiGdO2: optimized geometry, r2SCAN. Values from VASP.

mass density = 6.3 g/cm³
total magnetic moment = 28.000 Bohr magnetons per cell
space-group type = Pnma, No. 62

Geometry as Quantum ESPRESSO input:
```
&SYSTEM
  ibrav = 0, nat = 16, ntyp = 3
/
ATOMIC_SPECIES
Li 6.94 Li.upf
Gd 157.25 Gd.upf
O 16.00 O.upf
CELL_PARAMETERS angstrom
11.353 0.000 0.000
0.000 3.426 0.000
0.000 0.000 5.302
ATOMIC_POSITIONS angstrom
Li 0.738 0.857 0.519
Li 4.938 2.570 3.170
Li 6.415 0.857 2.132
Li 10.615 2.570 4.783
Gd 1.592 2.570 2.904
Gd 4.085 0.857 0.253
Gd 7.269 2.570 5.050
Gd 9.762 0.857 2.398
O 0.296 0.857 3.957
O 2.296 0.857 1.603
O 3.381 2.570 4.254
O 5.381 2.570 1.306
O 5.972 0.857 3.997
O 7.973 0.857 1.048
O 9.057 2.570 3.700
O 11.058 2.570 1.346
```


Result of the stability comparison: ii is the most stable of them.


i.
U: optimized geometry, r2SCAN. Values from VASP.

mass density = 19.7 g/cm³
total magnetic moment = 0.001 Bohr magnetons per cell
space-group type = Pnma, No. 62

Geometry as Quantum ESPRESSO input:
```
&SYSTEM
  ibrav = 0, nat = 8, ntyp = 1
/
ATOMIC_SPECIES
U 238.03 U.upf
CELL_PARAMETERS angstrom
6.723 0.000 0.000
0.000 4.787 0.000
0.000 0.000 4.980
ATOMIC_POSITIONS angstrom
U 0.206 1.197 1.053
U 1.257 3.591 1.701
U 2.104 1.197 4.191
U 3.155 3.591 3.543
U 3.568 1.197 1.437
U 4.619 3.591 0.789
U 5.466 1.197 3.279
U 6.517 3.591 3.927
```


ii.
U: optimized geometry, r2SCAN. Values from VASP.

mass density = 20.1 g/cm³
total magnetic moment = 0.000 Bohr magnetons per cell
space-group type = Cmcm, No. 63

Geometry as Quantum ESPRESSO input:
```
&SYSTEM
  ibrav = 0, nat = 2, ntyp = 1
/
ATOMIC_SPECIES
U 238.03 U.upf
CELL_PARAMETERS angstrom
1.385 -2.925 0.000
1.385 2.925 0.000
0.000 0.000 4.850
ATOMIC_POSITIONS angstrom
U 1.385 2.362 3.638
U 1.385 -2.362 1.213
```


Result of the stability comparison: ii is the most stable of them.


i.
Na2Cr2O7: optimized geometry, r2SCAN. Values from VASP.

mass density = 2.9 g/cm³
total magnetic moment = 0.000 Bohr magnetons per cell
space-group type = P-1, No. 2

Geometry as Quantum ESPRESSO input:
```
&SYSTEM
  ibrav = 0, nat = 22, ntyp = 3
/
ATOMIC_SPECIES
Na 22.99 Na.upf
Cr 52.00 Cr.upf
O 16.00 O.upf
CELL_PARAMETERS angstrom
6.713 0.000 0.000
0.542 6.853 0.000
0.013 2.882 6.578
ATOMIC_POSITIONS angstrom
Na 0.942 2.646 2.319
Na 2.685 4.796 4.965
Na 4.582 4.940 1.613
Na 6.326 7.090 4.259
Cr 1.429 5.791 1.563
Cr 3.055 8.174 5.333
Cr 4.213 1.562 1.246
Cr 5.839 3.944 5.015
O 0.410 4.745 5.565
O 0.968 7.192 2.218
O 1.959 7.061 4.933
O 2.183 4.858 2.665
O 2.569 6.094 0.261
O 2.638 2.459 4.191
O 2.795 2.287 0.941
O 4.473 7.449 5.637
O 4.630 7.277 2.387
O 4.699 3.642 6.317
O 5.085 4.877 3.914
O 5.308 2.674 1.645
O 6.300 2.544 4.360
O 6.858 4.991 1.013
```


ii.
Na2Cr2O7: optimized geometry, r2SCAN. Values from VASP.

mass density = 2.8 g/cm³
total magnetic moment = 0.000 Bohr magnetons per cell
space-group type = P-1, No. 2

Geometry as Quantum ESPRESSO input:
```
&SYSTEM
  ibrav = 0, nat = 44, ntyp = 3
/
ATOMIC_SPECIES
Na 22.99 Na.upf
Cr 52.00 Cr.upf
O 16.00 O.upf
CELL_PARAMETERS angstrom
7.655 0.000 0.000
3.087 8.703 0.000
3.237 1.383 9.235
ATOMIC_POSITIONS angstrom
Na 1.266 1.190 2.201
Na 3.825 3.503 7.892
Na 7.058 7.297 2.966
Na 5.709 3.808 2.567
Na 8.270 6.278 6.668
Na 6.921 2.789 6.270
Na 10.154 6.583 1.343
Na 12.713 8.896 7.034
Cr 5.011 5.940 5.379
Cr 3.653 2.027 4.530
Cr 3.537 3.294 0.307
Cr 8.341 9.240 8.740
Cr 5.638 0.846 0.495
Cr 10.442 6.792 8.928
Cr 10.326 8.059 4.706
Cr 8.968 4.146 3.856
O 2.929 3.455 3.769
O 3.200 1.971 6.081
O 2.011 2.815 0.553
O 6.786 8.806 8.608
O 4.996 4.518 6.136
O 3.106 0.720 3.740
O 6.060 6.956 6.084
O 3.831 4.729 0.994
O 5.450 8.143 1.055
O 5.456 5.738 3.831
O 5.524 1.861 7.857
O 7.116 4.707 7.969
O 5.253 2.199 4.375
O 4.645 2.169 1.119
O 9.334 7.917 8.116
O 8.726 7.886 4.860
O 6.863 5.378 1.266
O 8.455 8.225 1.378
O 8.522 4.347 5.404
O 8.528 1.943 8.180
O 10.148 5.357 8.241
O 7.919 3.130 3.152
O 10.873 9.366 5.495
O 8.983 5.567 3.099
O 7.193 1.279 0.627
O 11.968 7.271 8.682
O 10.779 8.114 3.154
O 11.050 6.631 5.467
```


Result of the stability comparison: ii is the most stable of them.


i.
NaMnO2: optimized geometry, r2SCAN. Values from VASP.

mass density = 4.3 g/cm³
total magnetic moment = 4.000 Bohr magnetons per cell
space-group type = C2/m, No. 12

Geometry as Quantum ESPRESSO input:
```
&SYSTEM
  ibrav = 0, nat = 4, ntyp = 3
/
ATOMIC_SPECIES
Na 22.99 Na.upf
Mn 54.94 Mn.upf
O 16.00 O.upf
CELL_PARAMETERS angstrom
2.834 -1.432 0.000
2.834 1.432 0.000
-2.281 0.000 5.288
ATOMIC_POSITIONS angstrom
Na 0.000 0.000 0.000
Mn 1.693 0.000 2.644
O -0.449 0.000 3.740
O 3.836 0.000 1.549
```


ii.
NaMnO2: optimized geometry, r2SCAN. Values from VASP.

mass density = 4.2 g/cm³
total magnetic moment = 16.000 Bohr magnetons per cell

Geometry as Quantum ESPRESSO input:
```
&SYSTEM
  ibrav = 0, nat = 16, ntyp = 3
/
ATOMIC_SPECIES
O 16.00 O.upf
Mn 54.94 Mn.upf
Na 22.99 Na.upf
CELL_PARAMETERS angstrom
3.154 -0.178 0.001
1.725 -2.654 10.712
0.293 -5.127 0.000
ATOMIC_POSITIONS angstrom
O 3.036 -1.765 6.455
Mn 2.018 -7.779 10.712
Mn 1.724 -2.657 5.357
Na 3.191 -3.499 8.033
O 1.606 -4.240 6.454
Na 1.761 -5.974 8.034
O 1.841 -1.067 1.098
O 2.133 -6.200 4.259
Na 3.409 -1.986 2.680
Mn 3.449 -5.304 10.712
O 3.565 -3.726 4.259
O 3.332 -6.887 9.615
O 0.412 -3.542 1.098
Na 1.982 -4.462 2.680
O 4.762 -4.412 9.614
Mn 3.447 -5.309 5.357
```


Result of the stability comparison: i is the most stable of them.


i.
RbYb3: optimized geometry, r2SCAN. Values from VASP.

mass density = 7.0 g/cm³
total magnetic moment = 2.000 Bohr magnetons per cell
space-group type = Pm-3m, No. 221

Geometry as Quantum ESPRESSO input:
```
&SYSTEM
  ibrav = 0, nat = 4, ntyp = 2
/
ATOMIC_SPECIES
Rb 85.47 Rb.upf
Yb 173.04 Yb.upf
CELL_PARAMETERS angstrom
5.238 0.000 0.000
0.000 5.238 0.000
0.000 0.000 5.238
ATOMIC_POSITIONS angstrom
Rb 0.000 0.000 0.000
Yb 0.000 2.619 2.619
Yb 2.619 0.000 2.619
Yb 2.619 2.619 0.000
```


ii.
RbYb3: optimized geometry, r2SCAN. Values from VASP.

mass density = 7.2 g/cm³
total magnetic moment = 0.003 Bohr magnetons per cell
space-group type = Fm-3m, No. 225

Geometry as Quantum ESPRESSO input:
```
&SYSTEM
  ibrav = 0, nat = 4, ntyp = 2
/
ATOMIC_SPECIES
Rb 85.47 Rb.upf
Yb 173.04 Yb.upf
CELL_PARAMETERS angstrom
0.000 4.115 4.115
4.115 0.000 4.115
4.115 4.115 0.000
ATOMIC_POSITIONS angstrom
Rb 0.000 0.000 0.000
Yb 2.057 2.057 2.057
Yb 4.115 4.115 4.115
Yb 6.172 6.172 6.172
```


Result of the stability comparison: i is the most stable of them.


i.
Li4P2O7: optimized geometry, r2SCAN. Values from VASP.

mass density = 2.4 g/cm³
total magnetic moment = 0.000 Bohr magnetons per cell
space-group type = P-1, No. 2

Geometry as Quantum ESPRESSO input:
```
&SYSTEM
  ibrav = 0, nat = 26, ntyp = 3
/
ATOMIC_SPECIES
Li 6.94 Li.upf
P 30.97 P.upf
O 16.00 O.upf
CELL_PARAMETERS angstrom
5.160 0.000 0.000
2.550 6.593 0.000
0.003 2.054 8.259
ATOMIC_POSITIONS angstrom
Li 0.966 2.743 2.400
Li 0.903 3.567 7.842
Li 3.494 6.690 4.227
Li 3.530 4.390 2.098
Li 4.182 4.257 6.161
Li 4.218 1.957 4.032
Li 6.810 5.081 0.417
Li 6.747 5.905 5.859
P 1.684 2.812 5.399
P 4.214 6.966 7.179
P 3.499 1.682 1.079
P 6.029 5.835 2.860
O 1.578 4.564 2.423
O 0.995 2.060 4.271
O 2.012 1.941 1.015
O 1.471 1.934 6.751
O 3.495 4.854 0.240
O 3.542 6.143 6.081
O 3.159 2.991 5.168
O 4.554 5.657 3.091
O 4.171 2.504 2.178
O 4.218 3.794 8.019
O 6.242 6.714 1.508
O 5.700 6.706 7.243
O 6.717 6.588 3.988
O 6.135 4.084 5.836
```


ii.
Li4P2O7: optimized geometry, r2SCAN. Values from VASP.

mass density = 2.3 g/cm³
total magnetic moment = 0.000 Bohr magnetons per cell
space-group type = P-1, No. 2

Geometry as Quantum ESPRESSO input:
```
&SYSTEM
  ibrav = 0, nat = 26, ntyp = 3
/
ATOMIC_SPECIES
Li 6.94 Li.upf
P 30.97 P.upf
O 16.00 O.upf
CELL_PARAMETERS angstrom
5.476 0.000 0.000
-0.848 5.642 0.000
-1.382 -2.541 9.371
ATOMIC_POSITIONS angstrom
Li -0.335 0.697 3.978
Li 0.489 3.884 0.019
Li 0.039 3.522 2.856
Li 0.469 -1.471 7.572
Li 2.776 4.573 1.799
Li 3.206 -0.420 6.515
Li 2.756 -0.782 9.352
Li 3.581 2.404 5.393
P 1.390 1.294 1.238
P 1.113 2.928 5.380
P 2.132 0.174 3.991
P 1.855 1.808 8.133
O -0.166 -0.481 2.299
O 0.236 2.293 1.255
O 0.756 -0.200 1.164
O -0.164 2.539 4.582
O 0.846 -1.173 9.361
O 0.959 1.727 6.885
O 1.612 -1.425 6.153
O 1.633 4.527 3.218
O 2.286 1.375 2.486
O 2.399 4.275 0.010
O 3.409 0.563 4.789
O 2.489 3.302 8.207
O 3.009 0.809 8.116
O 3.411 3.582 7.072
```


Result of the stability comparison: i is the most stable of them.


i.
LiV3O4: optimized geometry, r2SCAN. Values from VASP.

mass density = 5.1 g/cm³
total magnetic moment = 7.944 Bohr magnetons per cell
space-group type = C2, No. 5

Geometry as Quantum ESPRESSO input:
```
&SYSTEM
  ibrav = 0, nat = 16, ntyp = 3
/
ATOMIC_SPECIES
Li 6.94 Li.upf
V 50.94 V.upf
O 16.00 O.upf
CELL_PARAMETERS angstrom
5.165 -2.868 0.000
5.165 2.868 0.000
-1.550 0.000 4.962
ATOMIC_POSITIONS angstrom
Li 2.579 0.000 0.006
Li 6.201 0.000 4.956
V 5.165 1.438 0.000
V 1.817 -1.431 2.477
V 4.390 -0.189 2.481
V 5.165 -1.434 0.000
V 4.390 -2.703 2.481
V 6.963 -1.431 2.485
O 0.907 0.003 1.238
O 3.563 1.421 1.368
O 5.217 1.421 3.594
O 2.733 0.000 3.702
O 3.431 -1.438 1.153
O 6.047 0.000 1.260
O 7.873 0.003 3.724
O 5.350 -1.438 3.809
```


ii.
LiV3O4: optimized geometry, r2SCAN. Values from VASP.

mass density = 4.8 g/cm³
total magnetic moment = 15.992 Bohr magnetons per cell

Geometry as Quantum ESPRESSO input:
```
&SYSTEM
  ibrav = 0, nat = 16, ntyp = 3
/
ATOMIC_SPECIES
Li 6.94 Li.upf
V 50.94 V.upf
O 16.00 O.upf
CELL_PARAMETERS angstrom
-5.508 2.019 -1.610
4.126 -1.043 -4.198
-3.806 -3.664 -2.797
ATOMIC_POSITIONS angstrom
Li -7.250 -2.167 -6.506
V -4.657 -0.823 -2.204
V -2.594 -1.344 -4.303
V -5.507 2.019 -1.610
V -5.348 -0.335 -5.108
O 0.256 -3.466 -5.289
O -1.824 -2.990 -3.120
V -2.754 1.009 -0.805
O -2.690 -0.232 -2.512
O -3.363 0.302 -5.486
O -4.578 -1.981 -3.925
O -2.498 -2.457 -6.094
Li -4.497 -3.176 -5.701
V -7.410 0.187 -3.009
O -5.444 0.778 -3.316
O -0.610 -0.707 -4.681
```


Result of the stability comparison: i is the most stable of them.


i.
YbPu3: optimized geometry, r2SCAN. Values from VASP.

mass density = 14.6 g/cm³
total magnetic moment = 6.177 Bohr magnetons per cell
space-group type = I4/mmm, No. 139

Geometry as Quantum ESPRESSO input:
```
&SYSTEM
  ibrav = 0, nat = 4, ntyp = 2
/
ATOMIC_SPECIES
Yb 173.04 Yb.upf
Pu 244.00 Pu.upf
CELL_PARAMETERS angstrom
-2.332 2.332 4.729
2.332 -2.332 4.729
2.332 2.332 -4.729
ATOMIC_POSITIONS angstrom
Yb 0.000 0.000 0.000
Pu 2.332 0.000 2.364
Pu 0.000 0.000 4.729
Pu 0.000 2.332 2.364
```


ii.
YbPu3: optimized geometry, r2SCAN. Values from VASP.

mass density = 13.1 g/cm³
total magnetic moment = 36.932 Bohr magnetons per cell
space-group type = P6_3/mmc, No. 194

Geometry as Quantum ESPRESSO input:
```
&SYSTEM
  ibrav = 0, nat = 8, ntyp = 2
/
ATOMIC_SPECIES
Yb 173.04 Yb.upf
Pu 244.00 Pu.upf
CELL_PARAMETERS angstrom
6.838 0.000 0.000
-3.419 5.922 0.000
0.000 0.000 5.661
ATOMIC_POSITIONS angstrom
Yb 0.000 3.948 1.415
Yb 3.419 1.974 4.246
Pu 0.000 1.926 4.246
Pu -1.751 4.959 4.246
Pu 1.668 0.963 1.415
Pu 1.751 4.959 4.246
Pu 5.170 0.963 1.415
Pu 3.419 3.996 1.415
```


Result of the stability comparison: ii is the most stable of them.